Record 1
## BaSrCaWO6 (PBE with a Hubbard U)

Data for crystalline BaSrCaWO6 at its relaxed geometry.

Unit cell a=5.9306 b=5.9306 c=5.9863 alpha=60.23 beta=60.23 gamma=60.32
Sites, in units of the cell vectors:
1 O 0.2365 0.6826 0.8036
2 O 0.2983 0.7801 0.1772
3 O 0.6826 0.2365 0.8036
4 Ca 0.0009 0.0009 0.5001
5 O 0.7801 0.2983 0.1772
6 Sr 0.2479 0.2479 0.7681
7 Ba 0.7506 0.7506 0.2461
8 O 0.2746 0.2746 0.3115
9 W 0.5003 0.5003 0.9992
10 O 0.7282 0.7282 0.7134

theoretical density	6.0	Mg/m³
polymorph energy (0 for the lowest one)	0.000	eV/atom
ΔE_f	-3.03	eV/atom

***

Record 2
## BaSrCaWO6 (PBE with a Hubbard U)

Data for crystalline BaSrCaWO6 at its relaxed geometry.

Unit cell a=5.9760 b=5.9760 c=5.9760 alpha=60.00 beta=60.00 gamma=60.00
Sites, in units of the cell vectors:
1 O 0.7311 0.7311 0.2689
2 O 0.2689 0.2689 0.7311
3 O 0.7311 0.2689 0.2689
4 Ca 0.0000 0.0000 0.0000
5 O 0.7311 0.2689 0.7311
6 O 0.2689 0.7311 0.2689
7 O 0.2689 0.7311 0.7311
8 W 0.5000 0.5000 0.5000
9 Sr 0.7500 0.7500 0.7500
10 Ba 0.2500 0.2500 0.2500

theoretical density	6.0	Mg/m³
polymorph energy (0 for the lowest one)	0.028	eV/atom
ΔE_f	-3.00	eV/atom

***

Record 3
## BaSrCaWO6 (PBE with a Hubbard U)

Data for crystalline BaSrCaWO6 at its relaxed geometry.

Unit cell a=8.5090 b=8.5776 c=8.5404 alpha=90.00 beta=90.00 gamma=90.00
Sites, in units of the cell vectors:
1 O 0.2204 0.2857 0.0258
2 O 0.3058 0.9692 0.8025
3 Ca 0.5000 0.5000 0.0000
4 O 0.3082 0.1977 0.4662
5 W 0.2578 0.7487 0.7528
6 O 0.6942 0.9692 0.1975
7 O 0.3058 0.0308 0.1975
8 W 0.7422 0.7487 0.2472
9 Sr 0.7449 0.7498 0.7454
10 O 0.6918 0.8023 0.4662
11 O 0.7796 0.2857 0.9742
12 Ca 0.0000 0.5000 0.5000
13 O 0.9671 0.7941 0.2728
14 O 0.4723 0.6802 0.7914
15 O 0.7796 0.7143 0.0258
16 O 0.7965 0.5333 0.3116
17 Ba 0.0000 0.0000 0.5000
18 Ca 0.5000 0.0000 0.5000
19 O 0.6942 0.0308 0.8025
20 O 0.6918 0.1977 0.5338
21 O 0.7965 0.4667 0.6884
22 O 0.0329 0.7941 0.7272
23 O 0.9671 0.2059 0.7272
24 Sr 0.2551 0.7498 0.2546
25 O 0.4723 0.3198 0.2086
26 W 0.7422 0.2513 0.7528
27 O 0.2204 0.7143 0.9742
28 Sr 0.7449 0.2502 0.2546
29 Sr 0.2551 0.2502 0.7454
30 O 0.0329 0.2059 0.2728
31 O 0.2035 0.4667 0.3116
32 O 0.3082 0.8023 0.5338
33 W 0.2578 0.2513 0.2472
34 Ba 0.5000 0.5000 0.5000
35 Ca 0.5000 0.0000 0.0000
36 O 0.5277 0.6802 0.2086
37 O 0.2035 0.5333 0.6884
38 Ba 0.0000 0.5000 0.0000
39 O 0.5277 0.3198 0.7914
40 Ba 0.0000 0.0000 0.0000

theoretical density	5.8	Mg/m³
polymorph energy (0 for the lowest one)	0.085	eV/atom
ΔE_f	-2.94	eV/atom

***

Record 4
## BaSrCaWO6 (PBE with a Hubbard U)

Data for crystalline BaSrCaWO6 at its relaxed geometry.

Unit cell a=5.9604 b=6.0715 c=8.5683 alpha=89.46 beta=90.97 gamma=89.90
Sites, in units of the cell vectors:
1 O 0.2603 0.6718 0.5737
2 W 0.0000 0.5000 0.5000
3 O 0.1718 0.2341 0.5481
4 O 0.7397 0.3282 0.4263
5 O 0.4310 0.9289 0.2182
6 O 0.8282 0.7659 0.4519
7 O 0.5690 0.0711 0.7818
8 O 0.2262 0.1721 0.9743
9 Ca 0.5139 0.5419 0.2436
10 Sr 0.0000 0.5000 0.0000
11 O 0.3421 0.7267 0.9352
12 O 0.8745 0.5048 0.7143
13 Ba 0.0032 0.9582 0.7517
14 O 0.6579 0.2733 0.0648
15 Ca 0.4861 0.4581 0.7564
16 Ba 0.9968 0.0418 0.2483
17 O 0.1255 0.4952 0.2857
18 Sr 0.5000 0.0000 0.5000
19 W 0.5000 0.0000 0.0000
20 O 0.7738 0.8279 0.0257

theoretical density	5.8	Mg/m³
polymorph energy (0 for the lowest one)	0.079	eV/atom
ΔE_f	-2.95	eV/atom

***

Record 5
## BaSrCaWO6 (PBE with a Hubbard U)

Data for crystalline BaSrCaWO6 at its relaxed geometry.

Unit cell a=8.4545 b=8.4258 c=8.4329 alpha=90.00 beta=90.00 gamma=90.00
Sites, in units of the cell vectors:
1 O 0.2886 0.2183 0.4804
2 Ca 0.7497 0.2510 0.2520
3 O 0.7753 0.2716 0.9768
4 O 0.7252 0.0199 0.7722
5 O 0.7834 0.5228 0.2872
6 O 0.2166 0.4772 0.2872
7 O 0.7753 0.7284 0.0232
8 W 0.7493 0.7508 0.2539
9 O 0.7252 0.9801 0.2278
10 Sr 0.5000 0.5000 0.0000
11 O 0.5221 0.2870 0.7788
12 O 0.2166 0.5228 0.7128
13 O 0.9786 0.2186 0.7170
14 O 0.4779 0.2870 0.2212
15 Ca 0.2503 0.7490 0.2520
16 W 0.2507 0.7508 0.7461
17 Sr 0.0000 0.0000 0.5000
18 Ba 0.5000 0.5000 0.5000
19 Ca 0.2503 0.2510 0.7480
20 O 0.2247 0.2716 0.0232
21 O 0.5221 0.7130 0.2212
22 O 0.2748 0.9801 0.7722
23 O 0.0214 0.2186 0.2830
24 Sr 0.0000 0.5000 0.5000
25 Ba 0.5000 0.0000 0.0000
26 O 0.4779 0.7130 0.7788
27 W 0.7493 0.2492 0.7461
28 O 0.2247 0.7284 0.9768
29 Ba 0.0000 0.5000 0.0000
30 O 0.7114 0.2183 0.5196
31 O 0.0214 0.7814 0.7170
32 Sr 0.5000 0.0000 0.5000
33 O 0.2886 0.7817 0.5196
34 Ba 0.0000 0.0000 0.0000
35 O 0.7834 0.4772 0.7128
36 O 0.9786 0.7814 0.2830
37 O 0.2748 0.0199 0.2278
38 W 0.2507 0.2492 0.2539
39 Ca 0.7497 0.7490 0.7480
40 O 0.7114 0.7817 0.4804

theoretical density	6.0	Mg/m³
polymorph energy (0 for the lowest one)	0.004	eV/atom
ΔE_f	-3.02	eV/atom

***

Record 6
## BaSrCaWO6 (PBE with a Hubbard U)

Data for crystalline BaSrCaWO6 at its relaxed geometry.

Unit cell a=5.9562 b=5.9752 c=8.4245 alpha=89.54 beta=90.34 gamma=89.72
Sites, in units of the cell vectors:
1 W 0.5000 0.0000 0.0000
2 Ca 0.5000 0.0000 0.5000
3 O 0.2579 0.6965 0.5402
4 Ba 0.9965 0.0224 0.2493
5 O 0.7421 0.3035 0.4598
6 O 0.4449 0.9703 0.2283
7 O 0.2418 0.2003 0.9742
8 O 0.8013 0.7578 0.4653
9 O 0.5551 0.0297 0.7717
10 O 0.9246 0.5028 0.7271
11 Sr 0.5044 0.5335 0.2488
12 O 0.7582 0.7997 0.0258
13 O 0.3090 0.7369 0.9624
14 W 0.0000 0.5000 0.5000
15 O 0.1987 0.2422 0.5347
16 Ca 0.0000 0.5000 0.0000
17 Sr 0.4956 0.4665 0.7512
18 Ba 0.0035 0.9776 0.7507
19 O 0.6910 0.2631 0.0376
20 O 0.0754 0.4972 0.2729

theoretical density	6.0	Mg/m³
polymorph energy (0 for the lowest one)	0.001	eV/atom
ΔE_f	-3.03	eV/atom

***

| no. | calculated total energy (eV per atom) |
| --- | --- |
| 1 | -6.997 |
| 2 | -6.969 |
| 3 | -6.912 |
| 4 | -6.919 |
| 5 | -6.993 |
| 6 | -6.996 |